# 1
K4NbFe3P6O24 (PBE+U, relaxed); theoretical density = 3.22 g/cm³; VASP energy = -6.8649 eV/atom; space-group type = P2_1, No. 4; E_form = -56.4 kcal/mol of atoms
1.0
10.060 0.000 0.000
0.000 10.060 0.000
-0.069 0.000 10.062
K Nb Fe P O
8 2 6 12 48
direct
0.044 0.000 0.203
0.186 0.728 0.570
0.321 0.362 0.064
0.455 0.088 0.709
0.545 0.588 0.291
0.679 0.862 0.936
0.814 0.228 0.430
0.956 0.500 0.797
0.167 0.381 0.412
0.833 0.881 0.588
0.108 0.150 0.859
0.339 0.709 0.916
0.395 0.939 0.352
0.605 0.439 0.648
0.661 0.209 0.084
0.892 0.650 0.141
0.025 0.836 0.878
0.128 0.064 0.543
0.207 0.673 0.226
0.292 0.420 0.733
0.376 0.023 0.041
0.484 0.251 0.375
0.516 0.751 0.625
0.624 0.523 0.959
0.708 0.920 0.267
0.793 0.173 0.774
0.872 0.564 0.457
0.975 0.336 0.122
0.009 0.490 0.478
0.014 0.982 0.921
0.049 0.246 0.025
0.057 0.318 0.258
0.061 0.716 0.236
0.101 0.211 0.498
0.166 0.792 0.847
0.172 0.059 0.688
0.201 0.316 0.796
0.225 0.996 0.450
0.226 0.537 0.307
0.248 0.440 0.582
0.252 0.642 0.084
0.269 0.553 0.802
0.272 0.093 0.952
0.299 0.769 0.300
0.328 0.029 0.188
0.332 0.295 0.354
0.399 0.877 0.999
0.437 0.372 0.734
0.447 0.775 0.758
0.453 0.844 0.522
0.484 0.106 0.423
0.493 0.600 0.979
0.507 0.100 0.021
0.516 0.606 0.577
0.547 0.344 0.478
0.553 0.275 0.242
0.563 0.872 0.266
0.601 0.377 0.001
0.668 0.795 0.646
0.672 0.529 0.812
0.701 0.269 0.700
0.728 0.593 0.048
0.731 0.053 0.198
0.748 0.142 0.916
0.752 0.940 0.418
0.774 0.037 0.693
0.775 0.496 0.550
0.799 0.816 0.204
0.828 0.559 0.312
0.834 0.292 0.153
0.899 0.711 0.502
0.939 0.216 0.764
0.943 0.818 0.742
0.951 0.746 0.975
0.986 0.482 0.079
0.991 0.990 0.522

# 2
KNdFeSnO6 (PBE+U, relaxed); theoretical density = 5.90 g/cm³; VASP energy = -6.3220 eV/atom; space-group type = F-43m, No. 216; E_form = -49.7 kcal/mol of atoms
1.0
0.000 3.998 3.998
3.998 0.000 3.998
3.998 3.998 0.000
K Nd Fe Sn O
1 1 1 1 6
direct
0.000 0.000 0.000
0.500 0.500 0.500
0.250 0.250 0.250
0.750 0.750 0.750
0.006 0.006 0.494
0.006 0.494 0.006
0.006 0.494 0.494
0.494 0.006 0.006
0.494 0.006 0.494
0.494 0.494 0.006

# 3
KFe11O17 (PBE+U, relaxed); E above lowest polymorph = 0 meV per atom; theoretical density = 4.11 g/cm³; VASP energy = -6.5220 eV/atom; space-group type = P1, No. 1; E_form = -37.6 kcal/mol of atoms
1.0
5.990 0.000 0.000
2.993 5.189 0.000
0.052 0.069 24.059
K Fe O
2 22 34
direct
0.000 0.000 0.000
0.335 0.332 0.501
0.001 0.002 0.274
0.001 0.999 0.425
0.001 0.999 0.725
0.002 0.000 0.575
0.004 0.498 0.356
0.004 0.499 0.644
0.332 0.831 0.858
0.332 0.837 0.142
0.335 0.331 0.223
0.336 0.334 0.776
0.337 0.332 0.925
0.338 0.330 0.075
0.500 0.002 0.356
0.500 0.499 0.356
0.501 0.002 0.644
0.501 0.499 0.644
0.668 0.666 0.249
0.668 0.666 0.750
0.834 0.330 0.857
0.834 0.837 0.142
0.835 0.334 0.148
0.835 0.832 0.852
0.156 0.674 0.896
0.159 0.170 0.104
0.164 0.162 0.897
0.165 0.673 0.103
0.172 0.170 0.397
0.172 0.170 0.604
0.172 0.657 0.397
0.172 0.660 0.602
0.334 0.333 0.304
0.335 0.333 0.695
0.335 0.334 0.000
0.354 0.823 0.300
0.354 0.823 0.700
0.512 0.511 0.801
0.512 0.978 0.199
0.518 0.504 0.198
0.519 0.979 0.802
0.659 0.170 0.397
0.661 0.170 0.602
0.668 0.666 0.393
0.668 0.666 0.606
0.673 0.671 0.892
0.674 0.656 0.107
0.675 0.153 0.895
0.677 0.172 0.104
0.825 0.353 0.301
0.825 0.353 0.700
0.825 0.823 0.699
0.826 0.822 0.300
0.980 0.503 0.198
0.981 0.516 0.802
0.998 0.006 0.194
0.999 0.997 0.806
0.999 0.999 0.501

# 4
K2Fe4O7 (PBE+U, relaxed); theoretical density = 4.03 g/cm³; VASP energy = -6.0644 eV/atom; space-group type = P-31m, No. 162; E_form = -38.9 kcal/mol of atoms
1.0
5.308 0.000 0.000
-2.654 4.597 0.000
0.000 0.000 6.985
K Fe O
2 4 7
direct
0.333 0.667 0.000
0.667 0.333 0.000
0.000 0.000 0.271
0.000 0.000 0.729
0.333 0.667 0.500
0.667 0.333 0.500
0.000 0.000 0.000
0.000 0.353 0.664
0.000 0.647 0.336
0.353 0.000 0.664
0.353 0.353 0.336
0.647 0.000 0.336
0.647 0.647 0.664

# 5
K6Fe2O5 (PBE+U, relaxed); theoretical density = 2.57 g/cm³; VASP energy = -3.9603 eV/atom; space-group type = Cm, No. 8; E_form = -19.7 kcal/mol of atoms
1.0
3.505 -5.793 0.000
3.505 5.793 0.000
-0.337 0.000 6.781
K Fe O
6 2 5
direct
0.000 0.000 0.000
0.280 0.280 0.656
0.392 0.879 0.332
0.423 0.845 0.823
0.845 0.423 0.823
0.879 0.392 0.332
0.426 0.426 0.160
0.825 0.825 0.525
0.083 0.801 0.600
0.197 0.478 0.048
0.478 0.197 0.048
0.564 0.564 0.416
0.801 0.083 0.600

# 6
KFeO2 (PBE+U, relaxed); theoretical density = 3.17 g/cm³; VASP energy = -5.6987 eV/atom; space-group type = Pbca, No. 61; E_form = -40.1 kcal/mol of atoms
1.0
5.712 0.000 0.000
0.000 11.434 0.000
0.000 0.000 16.270
K Fe O
16 16 32
direct
0.192 0.233 0.184
0.192 0.267 0.684
0.248 0.009 0.561
0.248 0.491 0.061
0.252 0.509 0.561
0.252 0.991 0.061
0.308 0.733 0.184
0.308 0.767 0.684
0.692 0.233 0.316
0.692 0.267 0.816
0.748 0.009 0.939
0.748 0.491 0.439
0.752 0.509 0.939
0.752 0.991 0.439
0.808 0.733 0.316
0.808 0.767 0.816
0.212 0.234 0.435
0.212 0.266 0.935
0.247 0.510 0.811
0.247 0.990 0.311
0.253 0.010 0.811
0.253 0.490 0.311
0.288 0.734 0.435
0.288 0.766 0.935
0.712 0.234 0.065
0.712 0.266 0.565
0.747 0.510 0.689
0.747 0.990 0.189
0.753 0.010 0.689
0.753 0.490 0.189
0.788 0.734 0.065
0.788 0.766 0.565
0.073 0.523 0.215
0.073 0.977 0.715
0.096 0.708 0.022
0.096 0.792 0.522
0.163 0.585 0.402
0.163 0.915 0.902
0.207 0.171 0.840
0.207 0.329 0.340
0.293 0.671 0.840
0.293 0.829 0.340
0.337 0.085 0.402
0.337 0.415 0.902
0.404 0.208 0.022
0.404 0.292 0.522
0.427 0.023 0.215
0.427 0.477 0.715
0.573 0.523 0.285
0.573 0.977 0.785
0.596 0.708 0.478
0.596 0.792 0.978
0.663 0.585 0.098
0.663 0.915 0.598
0.707 0.171 0.660
0.707 0.329 0.160
0.793 0.671 0.660
0.793 0.829 0.160
0.837 0.085 0.098
0.837 0.415 0.598
0.904 0.208 0.478
0.904 0.292 0.978
0.927 0.023 0.285
0.927 0.477 0.785